# 1
{
  "formula": "Mg6MnV",
  "functional": "PBE-GGA",
  "state": "optimized geometry",
  "volume_a3_per_fu": 162.6,
  "lattice": [[-1.053, -1.878, 4.422], [-5.500, -2.003, -2.160], [4.459, -9.186, -2.838]],
  "species": ["Mg", "Mg", "Mg", "Mg", "Mg", "Mg", "Mg", "Mg", "Mg", "Mg", "Mg", "Mg", "Mn", "Mn", "V", "V"],
  "fractional_positions": [[0.000, 0.251, 0.582], [0.000, 0.749, 0.582], [0.500, 0.249, 0.412], [0.500, 0.751, 0.412], [0.500, 0.000, 0.671], [0.500, 0.000, 0.172], [0.000, 0.751, 0.082], [0.000, 0.249, 0.082], [0.500, 0.749, 0.912], [0.500, 0.251, 0.912], [0.500, 0.500, 0.171], [0.500, 0.500, 0.672], [0.000, 0.000, 0.834], [0.000, 0.500, 0.334], [0.000, 0.000, 0.334], [0.000, 0.500, 0.834]]
}


# 2
{
  "formula": "Na9Nb8Zn4Si3P15O72",
  "functional": "PBE-GGA",
  "state": "optimized geometry",
  "spacegroup": "P1 (1)",
  "volume_a3_per_fu": 1541.7,
  "lattice": [[8.841, 0.000, 0.000], [4.411, 7.679, 0.000], [0.045, 0.033, 22.709]],
  "species": ["Na", "Na", "Na", "Na", "Na", "Na", "Na", "Na", "Na", "Nb", "Nb", "Nb", "Nb", "Nb", "Nb", "Nb", "Nb", "Zn", "Zn", "Zn", "Zn", "Si", "Si", "Si", "P", "P", "P", "P", "P", "P", "P", "P", "P", "P", "P", "P", "P", "P", "P", "O", "O", "O", "O", "O", "O", "O", "O", "O", "O", "O", "O", "O", "O", "O", "O", "O", "O", "O", "O", "O", "O", "O", "O", "O", "O", "O", "O", "O", "O", "O", "O", "O", "O", "O", "O", "O", "O", "O", "O", "O", "O", "O", "O", "O", "O", "O", "O", "O", "O", "O", "O", "O", "O", "O", "O", "O", "O", "O", "O", "O", "O", "O", "O", "O", "O", "O", "O", "O", "O", "O", "O"],
  "fractional_positions": [[0.000, 0.000, 0.000], [0.002, 0.990, 0.499], [0.016, 0.358, 0.248], [0.031, 0.289, 0.582], [0.331, 0.334, 0.668], [0.344, 0.333, 0.167], [0.627, 0.359, 0.748], [0.661, 0.672, 0.328], [0.668, 0.673, 0.828], [0.001, 0.001, 0.346], [0.335, 0.328, 0.512], [0.338, 0.331, 0.014], [0.662, 0.676, 0.682], [0.663, 0.670, 0.182], [0.664, 0.668, 0.471], [0.667, 0.663, 0.972], [0.999, 0.001, 0.847], [0.006, 0.991, 0.640], [0.329, 0.335, 0.810], [0.335, 0.336, 0.310], [0.998, 0.999, 0.140], [0.045, 0.333, 0.406], [0.371, 0.957, 0.576], [0.621, 0.332, 0.906], [0.005, 0.711, 0.240], [0.007, 0.288, 0.740], [0.047, 0.620, 0.909], [0.286, 0.709, 0.741], [0.287, 0.002, 0.240], [0.333, 0.621, 0.408], [0.334, 0.045, 0.908], [0.375, 0.669, 0.076], [0.622, 0.045, 0.407], [0.663, 0.380, 0.577], [0.669, 0.955, 0.076], [0.706, 0.285, 0.240], [0.712, 0.002, 0.741], [0.954, 0.671, 0.576], [0.956, 0.375, 0.077], [0.023, 0.192, 0.683], [0.024, 0.157, 0.402], [0.024, 0.794, 0.186], [0.029, 0.805, 0.904], [0.112, 0.514, 0.854], [0.113, 0.370, 0.347], [0.134, 0.497, 0.569], [0.135, 0.368, 0.069], [0.153, 0.523, 0.246], [0.160, 0.316, 0.750], [0.161, 0.531, 0.964], [0.166, 0.305, 0.466], [0.166, 0.805, 0.403], [0.171, 0.022, 0.903], [0.176, 0.031, 0.187], [0.178, 0.991, 0.578], [0.184, 0.792, 0.686], [0.198, 0.828, 0.079], [0.201, 0.824, 0.797], [0.201, 0.970, 0.297], [0.304, 0.161, 0.965], [0.308, 0.533, 0.464], [0.315, 0.157, 0.249], [0.324, 0.521, 0.747], [0.363, 0.149, 0.569], [0.366, 0.497, 0.069], [0.372, 0.114, 0.854], [0.372, 0.514, 0.353], [0.472, 0.828, 0.236], [0.476, 0.682, 0.022], [0.476, 0.693, 0.737], [0.479, 0.836, 0.520], [0.491, 0.651, 0.419], [0.493, 0.371, 0.569], [0.493, 0.859, 0.921], [0.494, 0.135, 0.069], [0.495, 0.639, 0.131], [0.502, 0.860, 0.633], [0.514, 0.116, 0.353], [0.517, 0.372, 0.846], [0.524, 0.318, 0.250], [0.525, 0.305, 0.965], [0.530, 0.156, 0.749], [0.535, 0.161, 0.464], [0.638, 0.493, 0.633], [0.639, 0.864, 0.131], [0.649, 0.859, 0.419], [0.653, 0.498, 0.921], [0.681, 0.844, 0.022], [0.687, 0.475, 0.523], [0.702, 0.471, 0.236], [0.704, 0.827, 0.737], [0.792, 0.184, 0.186], [0.794, 0.031, 0.687], [0.808, 0.023, 0.403], [0.819, 0.158, 0.902], [0.825, 0.203, 0.579], [0.826, 0.976, 0.079], [0.827, 0.470, 0.738], [0.829, 0.695, 0.235], [0.830, 0.972, 0.797], [0.831, 0.200, 0.296], [0.841, 0.478, 0.023], [0.843, 0.682, 0.521], [0.848, 0.498, 0.420], [0.858, 0.653, 0.921], [0.869, 0.491, 0.132], [0.870, 0.632, 0.631], [0.969, 0.830, 0.579], [0.972, 0.199, 0.079], [0.972, 0.826, 0.297], [0.973, 0.195, 0.795]]
}


no.,ΔE_f (eV/atom)
1,0.2651
2,-2.7452